# 1
! Ce3Al4Si6 PBE optimized geometry; values from VASP
! - ρ (g/cm³) = 4.36
! - E_form (eV per formula unit) = -5.19
&SYSTEM
  ibrav = 0, nat = 13, ntyp = 3
/
ATOMIC_SPECIES
Ce 140.12 Ce.upf
Al 26.98 Al.upf
Si 28.09 Si.upf
ATOMIC_POSITIONS crystal
Ce 0.0000 0.0000 0.1092
Al 0.3333 0.6667 0.2526
Si 0.3333 0.6667 0.3975
Si 0.6667 0.3333 0.9979
Si 0.6667 0.3333 0.6025
Al 0.3333 0.6667 0.6404
Al 0.6667 0.3333 0.3596
Si 0.6667 0.3333 0.2153
Si 0.3333 0.6667 0.7847
Si 0.3333 0.6667 0.0021
Ce 0.0000 0.0000 0.5000
Ce 0.0000 0.0000 0.8908
Al 0.6667 0.3333 0.7474
CELL_PARAMETERS angstrom
1.5598 3.1255 2.2637
1.4842 -3.8592 0.4790
12.0517 3.0771 -12.5528

***

# 2
! SbO2 PBE optimized geometry; values from VASP
! - ρ (g/cm³) = 5.20
! - E_form (eV per formula unit) = -5.08
&SYSTEM
  ibrav = 0, nat = 24, ntyp = 2
/
ATOMIC_SPECIES
O 16.00 O.upf
Sb 121.76 Sb.upf
ATOMIC_POSITIONS crystal
O 0.2500 0.0516 0.4195
Sb 0.7500 0.1321 0.5232
O 0.2500 0.3275 0.1229
O 0.7500 0.2181 0.9265
Sb 0.2500 0.4269 0.3892
O 0.2500 0.1725 0.6229
Sb 0.2500 0.0731 0.8892
Sb 0.2500 0.6321 0.9768
O 0.2500 0.0549 0.0717
O 0.7500 0.5516 0.0805
Sb 0.7500 0.9269 0.1108
O 0.7500 0.6725 0.8771
O 0.7500 0.2819 0.4265
O 0.7500 0.8275 0.3771
O 0.7500 0.9451 0.9283
O 0.2500 0.4484 0.9195
O 0.2500 0.4451 0.5717
Sb 0.7500 0.3679 0.0232
Sb 0.7500 0.5731 0.6108
O 0.2500 0.7819 0.0735
O 0.7500 0.9484 0.5805
O 0.2500 0.7181 0.5735
Sb 0.2500 0.8679 0.4768
O 0.7500 0.5549 0.4283
CELL_PARAMETERS angstrom
3.2068 0.0000 0.0000
0.0000 10.8180 0.0000
0.0000 0.0000 11.3151

***

# 3
! AlSi2O6 PBE optimized geometry; values from VASP
! - distance to the lowest polymorph of the same formula (eV per atom) = 0.031
! - ρ (g/cm³) = 2.28
! - E_form (eV per formula unit) = -27.13
&SYSTEM
  ibrav = 0, nat = 36, ntyp = 3
/
ATOMIC_SPECIES
Si 28.09 Si.upf
O 16.00 O.upf
Al 26.98 Al.upf
ATOMIC_POSITIONS crystal
Si 0.8257 0.3879 0.9815
O 0.0683 0.6222 0.3151
Si 0.3879 0.8257 0.0185
Si 0.1121 0.3257 0.7315
Si 0.8879 0.6743 0.2315
O 0.8713 0.2276 0.0935
O 0.1147 0.1240 0.6952
O 0.6287 0.7276 0.6565
O 0.8853 0.8760 0.1952
O 0.1287 0.7724 0.5935
O 0.3713 0.2724 0.1565
O 0.6240 0.3853 0.9452
O 0.2724 0.3713 0.8435
Al 0.0884 0.9116 0.7500
O 0.9317 0.3778 0.8151
O 0.2276 0.8713 0.9065
Si 0.1743 0.6121 0.4815
Si 0.6743 0.8879 0.7685
Si 0.6121 0.1743 0.5185
O 0.3760 0.6147 0.4452
O 0.6147 0.3760 0.5548
Al 0.4116 0.4116 0.0000
O 0.1222 0.4317 0.5651
O 0.3778 0.9317 0.1849
Si 0.3257 0.1121 0.2685
O 0.5683 0.8778 0.9349
O 0.7276 0.6287 0.3435
O 0.4317 0.1222 0.4349
O 0.7724 0.1287 0.4065
O 0.8778 0.5683 0.0651
O 0.6222 0.0683 0.6849
O 0.1240 0.1147 0.3048
O 0.3853 0.6240 0.0548
Al 0.5884 0.5884 0.5000
O 0.8760 0.8853 0.8048
Al 0.9116 0.0884 0.2500
CELL_PARAMETERS angstrom
7.8776 0.0000 0.0000
0.0000 7.8776 0.0000
0.0000 0.0000 8.4131

***

# 4
! Dy3Si12Ru4 PBE optimized geometry; values from VASP
! - ρ (g/cm³) = 6.66
! - E_form (eV per formula unit) = -12.26
&SYSTEM
  ibrav = 0, nat = 38, ntyp = 3
/
ATOMIC_SPECIES
Si 28.09 Si.upf
Ru 101.07 Ru.upf
Dy 162.50 Dy.upf
ATOMIC_POSITIONS crystal
Si 0.1668 0.1668 0.3333
Si 0.3332 0.3332 0.8333
Ru 0.3726 0.3726 0.1273
Si 0.8879 0.6536 0.4930
Si 0.6668 0.6668 0.1667
Si 0.3879 0.1536 0.0070
Si 0.8890 0.1233 0.7286
Dy 0.0037 0.5037 0.7500
Dy 0.5037 0.0037 0.7500
Dy 0.0000 0.0000 0.0000
Si 0.3464 0.1121 0.5070
Si 0.8464 0.6121 0.9930
Ru 0.6274 0.6274 0.8727
Ru 0.3307 0.6693 0.5000
Si 0.3890 0.6233 0.7714
Si 0.1110 0.8767 0.2714
Si 0.3767 0.6110 0.2286
Si 0.7047 0.2953 0.0000
Si 0.7953 0.2047 0.5000
Si 0.1121 0.3464 0.5070
Si 0.6110 0.3767 0.2286
Dy 0.4963 0.9963 0.2500
Dy 0.9963 0.4963 0.2500
Ru 0.8307 0.1693 0.0000
Si 0.6233 0.3890 0.7714
Si 0.6121 0.8464 0.9930
Si 0.8767 0.1110 0.2714
Si 0.1536 0.3879 0.0070
Ru 0.6693 0.3307 0.5000
Si 0.1233 0.8890 0.7286
Ru 0.1274 0.1274 0.6273
Si 0.6536 0.8879 0.4930
Si 0.2047 0.7953 0.5000
Si 0.2953 0.7047 0.0000
Dy 0.5000 0.5000 0.5000
Ru 0.1693 0.8307 0.0000
Si 0.8332 0.8332 0.6667
Ru 0.8726 0.8726 0.3727
CELL_PARAMETERS angstrom
7.2814 4.4033 -5.4646
-9.9077 1.8091 0.9135
1.5023 5.1297 6.1353